Compound: Na6Sc4In4Si3S9O48
Source: the Materials Project
Functional: PBE
Structure: optimized geometry

Computed properties:
* total DFT energy (no corrections): -1443.3 eV for the cell shown
* magnetization: 0.0 μB per cell
* E (MP2020): -6.947 eV per atom
* E_form: -178.79 eV per formula unit

The structure in POSCAR format:
```
Na6Sc4In4Si3S9O48
1.0
-8.042 -15.100 -5.330
8.776 0.026 1.615
-4.074 -5.609 22.192
Na Sc In Si S O
18 12 12 9 27 144
Cartesian
4.625 -1.477 6.619
-3.899 -11.762 14.390
-2.343 -7.559 19.889
-6.371 -15.111 17.228
-2.816 -4.811 8.428
-6.891 -12.318 5.765
-1.360 -17.817 7.380
2.752 -10.252 10.138
-12.036 -20.623 16.806
-8.025 -13.081 19.498
-3.113 -9.629 17.142
-7.182 -17.318 14.457
-1.057 -7.030 6.161
-5.153 -14.421 3.537
3.877 -3.545 3.945
-0.101 -10.962 1.371
1.654 -6.255 15.036
-2.294 -13.736 12.239
7.280 -2.006 9.396
3.239 -9.553 6.684
-3.340 -4.829 18.812
-7.402 -12.370 16.181
-2.504 -8.803 13.935
-4.613 -13.467 0.287
-3.808 -10.644 20.446
-7.819 -18.182 17.808
-1.726 -7.930 9.439
-5.658 -15.384 6.744
3.288 -4.231 7.232
-2.889 -14.550 15.592
-2.609 -3.704 14.441
-6.544 -11.227 11.708
-0.642 -0.901 3.320
4.090 -8.413 2.310
-6.536 -16.376 11.343
-0.549 -6.036 2.916
4.412 -2.530 0.542
0.386 -10.093 -2.116
2.430 -5.379 11.671
-1.634 -12.741 9.112
-0.711 -11.716 4.584
1.088 -6.951 18.257
-2.207 -3.664 4.774
2.513 -11.158 3.710
-1.653 -6.490 16.304
-5.697 -14.037 13.702
-3.355 -10.533 11.001
-0.651 -5.408 20.859
-4.656 -12.962 18.149
3.992 -2.597 10.199
-0.006 -10.107 7.559
2.359 -6.698 4.807
-1.667 -14.252 2.130
-6.481 -16.490 0.682
-2.474 -8.950 3.341
3.162 -4.188 17.784
-0.838 -11.737 15.126
2.858 -9.487 16.403
-1.156 -17.051 13.705
-7.337 -18.046 8.273
-3.528 -6.062 11.975
-7.551 -13.674 9.297
0.454 -8.252 12.175
-3.534 -15.870 9.507
1.302 -7.683 0.316
-2.715 -15.248 -2.327
-2.708 -5.496 0.115
-6.717 -13.050 -2.529
1.109 -3.273 1.363
-2.921 -10.821 -1.298
-0.408 -9.906 19.779
-4.413 -17.430 17.102
3.356 -7.635 21.011
-0.670 -15.184 18.354
4.199 -7.058 9.117
0.164 -14.626 6.500
0.239 -4.832 8.957
-3.783 -12.403 6.272
-1.860 -3.268 6.324
-5.898 -10.877 3.650
2.489 -7.796 5.765
-1.581 -15.369 3.087
-3.521 -9.045 4.347
-7.521 -16.550 1.702
-2.512 -6.154 17.688
-6.562 -13.703 15.064
-0.237 -11.847 16.462
-4.262 -19.382 13.782
-6.352 -10.637 15.662
-10.382 -18.180 12.960
2.480 -9.727 14.997
-1.509 -17.272 12.284
-1.670 -5.249 15.253
-5.669 -12.758 12.710
4.143 -3.990 16.695
0.166 -11.591 14.056
3.195 -6.901 3.588
-0.812 -14.477 0.939
1.025 -1.258 4.636
-2.997 -8.758 1.958
6.856 -2.357 5.400
2.930 -9.987 2.662
-3.050 -10.164 12.580
-7.027 -17.746 9.693
-3.372 -7.124 12.986
-7.439 -14.737 10.329
-0.572 -8.345 13.237
-4.553 -15.980 10.580
0.502 -7.386 1.527
-3.481 -14.941 -1.106
-2.140 -5.599 1.477
-6.111 -13.180 -1.191
0.652 -4.339 2.282
-3.417 -11.900 -0.419
0.817 -3.597 -0.045
-3.200 -11.138 -2.717
1.156 -6.616 -0.692
-2.873 -14.176 -3.337
-1.646 -5.368 -0.902
-5.672 -12.918 -3.565
-2.765 -6.340 10.744
-6.744 -14.002 8.095
-0.134 -8.089 10.847
-4.182 -15.757 8.175
-2.785 -9.362 10.014
-6.846 -16.973 7.379
-0.021 -9.655 21.191
-4.045 -17.203 18.529
-0.752 -6.675 21.897
-4.725 -14.226 19.191
2.355 -7.771 22.095
-1.663 -15.321 19.450
3.347 -6.834 10.311
-0.693 -14.343 7.660
0.790 -4.947 10.329
-3.215 -12.550 7.615
3.684 -3.879 11.159
-0.218 -11.444 8.482
3.640 -2.911 8.630
-0.468 -10.363 6.029
4.087 -5.921 8.167
0.158 -13.529 5.490
1.291 -4.742 7.938
-2.774 -12.379 5.196
0.349 -5.685 19.633
-3.742 -13.308 16.848
2.769 -7.617 19.666
-1.276 -15.134 17.033
-0.038 -8.783 18.889
-4.011 -16.292 16.252
5.624 -2.435 10.391
1.640 -9.958 7.725
3.796 -8.319 8.503
-0.245 -15.901 5.893
-0.612 -3.601 8.975
-4.635 -11.186 6.279
-2.236 -5.256 20.438
-6.247 -12.797 17.767
4.144 -6.416 21.325
0.123 -13.968 18.675
0.193 -11.174 19.375
-3.816 -18.694 16.688
-4.950 -10.599 10.615
-8.802 -18.138 8.031
-3.038 -4.747 12.497
-7.066 -12.377 9.817
1.297 -9.472 12.161
-2.685 -17.100 9.466
2.757 -7.772 0.615
-1.249 -15.334 -2.061
-3.505 -6.711 -0.223
-7.519 -14.262 -2.864
0.432 -1.976 1.667
-3.582 -9.522 -0.995
-4.437 -9.454 14.952
-8.454 -16.990 12.269
-2.285 -7.874 15.706
-6.285 -15.450 13.146
-1.781 -10.581 15.155
-5.820 -18.128 12.493
0.915 -6.618 4.441
-3.106 -14.208 1.708
-1.619 -7.778 3.700
-5.583 -15.327 0.985
-1.432 -5.057 4.461
-5.430 -12.590 1.733
-1.904 -9.975 19.678
-5.912 -17.489 16.990
-4.083 -11.573 18.813
-8.151 -19.109 16.204
-4.463 -8.818 19.458
-8.494 -16.369 16.786
-3.136 -7.105 7.894
-7.164 -14.733 5.301
-0.648 -5.975 8.641
-4.703 -13.561 5.976
-0.726 -8.712 7.964
-4.816 -16.305 5.269
2.573 -3.152 1.620
-1.455 -10.730 -1.036
4.830 -1.451 2.476
0.807 -8.989 -0.207
5.191 -4.263 1.733
1.185 -11.815 -0.898
3.776 -5.945 13.323
-0.219 -13.585 10.598
1.289 -7.047 12.524
-2.712 -14.683 9.794
1.364 -4.243 13.290
-2.612 -11.984 10.734
4.936 -3.777 6.194
0.938 -11.429 3.392
2.796 -5.419 5.395
-1.271 -12.966 2.723
2.423 -2.602 5.999
-1.647 -10.179 3.262
-0.053 -6.677 16.601
-4.096 -14.157 14.107
2.429 -5.424 17.427
-1.644 -12.955 14.802
2.251 -8.212 16.815
-1.788 -15.787 14.119
```